First-principles (GGA-PBE) data for crystalline CsPaO3 at its relaxed geometry, as listed in the Materials Project.

a b c (Å): 4.4566 4.4566 4.4566
angles (deg): 90.00 90.00 90.00
With the nearest neighbours (Å) after each atom.
Space group Pm-3m (No. 221)
Symmetry-distinct sites (fractional):
Cs  0.0000  0.0000  0.0000 x1  12 O 3.15
Pa  0.5000  0.5000  0.5000 x1  6 O 2.23
O  0.0000  0.5000  0.5000 x3  2 Pa 2.23

## Properties
* calculated formation energy: -3466 meV per atom